Record 1
# Na7Mg2Zn2P3S3O24

Crystalline Na7Mg2Zn2P3S3O24 at its relaxed geometry (GGA-PBE, the Materials Project database).

a = 8.9981 Å, b = 9.0082 Å, c = 21.9249 Å
α = 89.44°, β = 89.26°, γ = 60.07°
Last column: nearest neighbours and their distance in Å.
Sites, in units of the cell vectors:
Na  0.0000  0.0000  0.0000  6 O 2.44-2.66
Na  0.0030  0.6326  0.7495  6 O 2.44-2.63
Na  0.0066  0.2721  0.5048  6 O 2.44-2.69
Na  0.0306  0.9516  0.6628  6 O 2.43-2.70
Na  0.2899  0.3138  0.6667  6 O 2.36-2.58
Na  0.3062  0.6771  0.1651  6 O 2.45-2.66
Na  0.3286  0.9807  0.5842  6 O 2.45-2.63
Na  0.3349  0.9741  0.0834  6 O 2.47-2.62
Na  0.3379  0.3439  0.3372  6 O 2.45-2.70
Na  0.3528  0.6468  0.4973  6 O 2.47-2.67
Na  0.3683  0.2801  0.9953  5 O 2.45-2.58
Na  0.6255  0.6523  0.0038  6 O 2.44-2.64
Na  0.6329  0.0163  0.4956  5 O 2.44-2.56
Na  0.6409  0.3230  0.9147  5 O 2.42-2.62
Na  0.6580  0.3069  0.4162  6 O 2.46-2.66
Na  0.6673  0.9358  0.1664  6 O 2.36-2.60
Na  0.6868  0.6231  0.3287  6 O 2.46-2.75
Na  0.6920  0.9816  0.8370  6 O 2.44-2.69
Na  0.9672  0.9698  0.3343  6 O 2.44-2.72
Na  0.9709  0.3439  0.8280  6 O 2.42-2.71
Na  0.9922  0.6402  0.2482  6 O 2.42-2.62
Mg  0.0033  0.6515  0.4008  5 O 2.00-2.13
Mg  0.3329  0.9777  0.4317  6 O 2.02-2.17
Mg  0.3398  0.9701  0.2343  6 O 1.99-2.22
Mg  0.6613  0.3176  0.0676  6 O 2.01-2.15
Mg  0.6625  0.3185  0.2660  6 O 2.00-2.19
Mg  0.6697  0.3090  0.5673  6 O 2.01-2.16
Zn  0.0007  0.6351  0.5957  4 O 1.99-2.12
Zn  0.0162  0.6436  0.9032  5 O 1.94-2.17
Zn  0.3263  0.9899  0.7359  5 O 1.98-2.19
Zn  0.3437  0.9739  0.9305  6 O 2.01-2.25
Zn  0.6571  0.3231  0.7635  5 O 2.00-2.17
Zn  0.9899  0.6462  0.0960  4 O 1.99-2.09
P  0.2959  0.6448  0.0021  4 O 1.53-1.57
P  0.2977  0.3452  0.4995  4 O 1.54-1.57
P  0.3314  0.6816  0.3334  4 O 1.55-1.57
P  0.3318  0.2796  0.8329  4 O 1.56
P  0.6300  0.9785  0.3328  4 O 1.55-1.57
P  0.6688  0.6077  0.1665  4 O 1.54-1.58
P  0.7016  0.9440  0.9992  4 O 1.55-1.57
P  0.9600  0.3139  0.6672  4 O 1.54-1.59
P  0.9978  0.9430  0.5007  4 O 1.54-1.56
S  0.0360  0.9765  0.8332  4 O 1.48-1.51
S  0.0385  0.2714  0.3336  4 O 1.48-1.50
S  0.3687  0.3101  0.1673  4 O 1.49
S  0.3709  0.6095  0.6655  4 O 1.48-1.51
S  0.6271  0.6815  0.8331  4 O 1.48-1.51
S  0.6663  0.0135  0.6667  4 O 1.49
S  0.7034  0.6453  0.4987  4 O 1.48-1.50
S  0.9610  0.0214  0.1671  4 O 1.48-1.51
S  0.9969  0.3483  0.9992  4 O 1.48-1.50
O  0.0086  0.8267  0.8367  1 S 1.49
O  0.0162  0.4471  0.3383  1 S 1.50
O  0.0272  0.8313  0.5589  1 P 1.56
O  0.0292  0.4278  0.0524  1 S 1.48
O  0.1132  0.1698  0.3896  1 S 1.48
O  0.1180  0.9985  0.8881  1 S 1.49
O  0.1356  0.0010  0.1711  1 S 1.49
O  0.1383  0.9548  0.7771  1 S 1.48
O  0.1434  0.1457  0.6694  1 P 1.59
O  0.1500  0.1883  0.2800  1 S 1.48
O  0.1510  0.1727  0.9941  1 S 1.50
O  0.1615  0.9609  0.4945  1 P 1.56
O  0.1640  0.4558  0.8384  1 P 1.56
O  0.1710  0.6581  0.3382  1 P 1.56
O  0.1850  0.6765  0.0610  1 P 1.56
O  0.1865  0.4216  0.5580  1 P 1.55
O  0.1938  0.6303  0.6630  1 S 1.51
O  0.1987  0.4691  0.1622  1 S 1.49
O  0.2113  0.4582  0.4431  1 P 1.54
O  0.2170  0.6060  0.9474  1 P 1.53
O  0.3001  0.7956  0.2763  1 P 1.55
O  0.3027  0.1974  0.7754  1 P 1.56
O  0.3105  0.8107  0.9948  1 P 1.57
O  0.3207  0.1620  0.4944  1 P 1.56
O  0.3511  0.1548  0.1730  1 S 1.49
O  0.3513  0.7835  0.6707  1 S 1.49
O  0.3591  0.7648  0.3902  1 P 1.55
O  0.3619  0.1659  0.8908  1 P 1.56
O  0.4497  0.5002  0.7195  1 S 1.48
O  0.4522  0.3329  0.2217  1 S 1.49
O  0.4699  0.5288  0.6092  1 S 1.48
O  0.4767  0.2828  0.1118  1 S 1.49
O  0.4776  0.3312  0.5052  1 P 1.57
O  0.4798  0.4855  0.0070  1 P 1.56
O  0.4950  0.4998  0.3281  1 P 1.57
O  0.4999  0.2894  0.8268  1 P 1.56
O  0.5022  0.7912  0.1695  1 P 1.58
O  0.5091  0.9978  0.6712  1 S 1.49
O  0.5165  0.0104  0.3901  1 P 1.55
O  0.5176  0.9663  0.9958  1 P 1.57
O  0.5282  0.7993  0.4934  1 S 1.50
O  0.5300  0.7541  0.8908  1 S 1.49
O  0.5401  0.7914  0.7800  1 S 1.48
O  0.5456  0.9534  0.2757  1 P 1.55
O  0.6404  0.1234  0.6124  1 S 1.49
O  0.6432  0.5230  0.1096  1 P 1.55
O  0.6536  0.5045  0.8290  1 S 1.49
O  0.6551  0.1383  0.3268  1 P 1.57
O  0.6839  0.4904  0.5056  1 S 1.50
O  0.6854  0.1244  0.0053  1 P 1.56
O  0.6864  0.5040  0.2248  1 P 1.54
O  0.6911  0.0921  0.7225  1 S 1.49
O  0.7803  0.8319  0.0568  1 P 1.55
O  0.7805  0.6766  0.5529  1 S 1.48
O  0.8009  0.6674  0.8359  1 S 1.51
O  0.8099  0.6170  0.4436  1 S 1.48
O  0.8096  0.8126  0.3383  1 P 1.57
O  0.8122  0.8610  0.9413  1 P 1.55
O  0.8243  0.8427  0.6608  1 S 1.49
O  0.8279  0.6343  0.1625  1 P 1.57
O  0.8368  0.1260  0.5059  1 P 1.56
O  0.8425  0.3282  0.0072  1 S 1.50
O  0.8535  0.1049  0.2217  1 S 1.48
O  0.8582  0.3308  0.7268  1 P 1.55
O  0.8622  0.1362  0.8300  1 S 1.51
O  0.8647  0.2886  0.3278  1 S 1.50
O  0.8741  0.2895  0.6108  1 P 1.54
O  0.8787  0.1185  0.1109  1 S 1.48
O  0.9657  0.4525  0.9431  1 S 1.48
O  0.9664  0.8611  0.4445  1 P 1.54
O  0.9801  0.8454  0.1654  1 S 1.51
O  0.9876  0.4717  0.6634  1 P 1.56

***

Record 2
# Na5Mg2Zn2PS5O24

Crystalline Na5Mg2Zn2PS5O24 at its relaxed geometry (GGA-PBE, the Materials Project database).

a = 8.8693 Å, b = 8.8805 Å, c = 22.3266 Å
α = 89.69°, β = 89.73°, γ = 60.12°
Last column: nearest neighbours and their distance in Å.
Sites, in units of the cell vectors:
Na  0.0000  0.0000  0.0000  6 O 2.50-2.64
Na  0.0001  0.9762  0.5017  5 O 2.41-2.62
Na  0.0120  0.6239  0.7527  5 O 2.35-2.59
Na  0.0410  0.6625  0.0814  6 O 2.42-2.69
Na  0.0431  0.2968  0.5872  5 O 2.41-2.55
Na  0.3388  0.6939  0.9189  5 O 2.36-2.62
Na  0.3435  0.3298  0.1672  6 O 2.54-2.59
Na  0.3490  0.3171  0.6665  6 O 2.49-2.64
Na  0.3485  0.9680  0.4158  4 O 2.36-2.55
Na  0.6454  0.9976  0.2533  5 O 2.42-2.57
Na  0.6530  0.3598  0.7508  6 O 2.39-2.67
Na  0.6796  0.6776  0.8341  6 O 2.49-2.65
Na  0.6865  0.6613  0.3336  6 O 2.54-2.63
Na  0.7037  0.3233  0.4182  4 O 2.38-2.54
Na  0.9795  0.3338  0.9138  5 O 2.40-2.63
Mg  0.0060  0.9893  0.3496  6 O 2.01-2.21
Mg  0.0129  0.0025  0.1510  6 O 2.01-2.16
Mg  0.3411  0.3316  0.3176  6 O 2.02-2.18
Mg  0.3454  0.3287  0.0170  6 O 2.02-2.17
Mg  0.6743  0.6565  0.1836  6 O 2.02-2.18
Mg  0.6815  0.6740  0.4843  6 O 2.00-2.23
Zn  0.0034  0.9956  0.8477  5 O 2.03-2.21
Zn  0.0144  0.9965  0.6532  5 O 1.99-2.20
Zn  0.3266  0.3245  0.8199  4 O 1.99-2.20
Zn  0.3590  0.3240  0.5142  4 O 1.94-2.17
Zn  0.6773  0.6643  0.6810  6 O 2.04-2.17
Zn  0.6849  0.6704  0.9862  5 O 2.01-2.16
P  0.0111  0.2921  0.7497  4 O 1.54-1.58
P  0.0447  0.6303  0.9180  4 O 1.55-1.56
P  0.6411  0.0327  0.4150  4 O 1.55
S  0.0123  0.6987  0.2486  4 O 1.48-1.50
S  0.0469  0.3314  0.4174  4 O 1.46-1.51
S  0.3045  0.9967  0.2510  4 O 1.47-1.50
S  0.3092  0.7007  0.7508  4 O 1.48-1.50
S  0.3412  0.6255  0.4170  4 O 1.47-1.51
S  0.3475  0.0328  0.9184  4 O 1.47-1.51
S  0.3810  0.9573  0.5830  4 O 1.47-1.50
S  0.3819  0.6631  0.0833  4 O 1.46-1.50
S  0.6366  0.3284  0.9169  4 O 1.46-1.51
S  0.6739  0.3689  0.5831  4 O 1.48-1.50
S  0.6752  0.9621  0.0861  4 O 1.47-1.50
S  0.7125  0.9973  0.7497  4 O 1.48-1.49
S  0.7159  0.2930  0.2509  4 O 1.48-1.50
S  0.9722  0.3652  0.0835  4 O 1.48-1.50
S  0.9759  0.6633  0.5842  4 O 1.47-1.50
O  0.0325  0.1881  0.6920  1 P 1.54
O  0.0326  0.1702  0.4105  1 S 1.51
O  0.0352  0.7783  0.1930  1 S 1.49
O  0.0347  0.8100  0.9121  1 P 1.56
O  0.1235  0.5197  0.8603  1 P 1.56
O  0.1310  0.3585  0.3653  1 S 1.46
O  0.1466  0.3534  0.0787  1 S 1.50
O  0.1493  0.3021  0.4734  1 S 1.49
O  0.1488  0.5010  0.5782  1 S 1.50
O  0.1592  0.5439  0.9738  1 P 1.55
O  0.1665  0.5250  0.2562  1 S 1.48
O  0.1715  0.3183  0.7532  1 P 1.55
O  0.1843  0.0207  0.9144  1 S 1.51
O  0.1931  0.8057  0.4097  1 S 1.49
O  0.1946  0.7819  0.6986  1 S 1.48
O  0.1977  0.0165  0.1985  1 S 1.47
O  0.2024  0.8177  0.0892  1 S 1.50
O  0.2030  0.9770  0.5866  1 S 1.50
O  0.2255  0.9748  0.3068  1 S 1.49
O  0.2329  0.7993  0.8068  1 S 1.48
O  0.3088  0.5527  0.4719  1 S 1.48
O  0.3226  0.1430  0.9706  1 S 1.47
O  0.3263  0.1533  0.2545  1 S 1.50
O  0.3312  0.5217  0.7547  1 S 1.50
O  0.3558  0.1374  0.5795  1 S 1.50
O  0.3601  0.5063  0.0797  1 S 1.50
O  0.3696  0.5152  0.3643  1 S 1.47
O  0.3772  0.1053  0.8628  1 S 1.48
O  0.4574  0.6874  0.0266  1 S 1.49
O  0.4627  0.8571  0.5279  1 S 1.48
O  0.4837  0.8413  0.2456  1 S 1.50
O  0.4850  0.6809  0.7444  1 S 1.49
O  0.4863  0.8744  0.6368  1 S 1.47
O  0.4903  0.6424  0.1352  1 S 1.46
O  0.4969  0.8525  0.9238  1 S 1.49
O  0.5043  0.6381  0.4228  1 S 1.51
O  0.5171  0.3513  0.5792  1 S 1.48
O  0.5202  0.1348  0.0785  1 S 1.47
O  0.5270  0.1143  0.3584  1 P 1.55
O  0.5363  0.3531  0.8607  1 S 1.49
O  0.5408  0.3066  0.2557  1 S 1.50
O  0.5415  0.1586  0.7566  1 S 1.49
O  0.5496  0.3072  0.9693  1 S 1.46
O  0.5593  0.1525  0.4699  1 P 1.55
O  0.6514  0.4901  0.9217  1 S 1.51
O  0.6514  0.8539  0.4225  1 P 1.55
O  0.6519  0.8800  0.1408  1 S 1.49
O  0.6546  0.4683  0.6389  1 S 1.49
O  0.6951  0.8397  0.7439  1 S 1.49
O  0.6970  0.4671  0.2437  1 S 1.48
O  0.6978  0.4561  0.5296  1 S 1.49
O  0.7093  0.8496  0.0328  1 S 1.49
O  0.7929  0.0266  0.6958  1 S 1.48
O  0.8017  0.1779  0.1990  1 S 1.48
O  0.8164  0.1765  0.9141  1 S 1.49
O  0.8174  0.2150  0.3066  1 S 1.49
O  0.8223  0.0181  0.4093  1 P 1.55
O  0.8232  0.9616  0.8037  1 S 1.49
O  0.8364  0.1950  0.5862  1 S 1.50
O  0.8374  0.9747  0.0915  1 S 1.50
O  0.8431  0.4779  0.7461  1 P 1.58
O  0.8493  0.6871  0.2438  1 S 1.50
O  0.8644  0.6405  0.9230  1 P 1.56
O  0.8662  0.6845  0.5321  1 S 1.47
O  0.8667  0.4816  0.4230  1 S 1.49
O  0.8721  0.4382  0.0270  1 S 1.49
O  0.8848  0.4824  0.1347  1 S 1.48
O  0.9007  0.6335  0.6405  1 S 1.50
O  0.9789  0.2107  0.8067  1 P 1.56
O  0.9826  0.8127  0.3008  1 S 1.48
O  0.9926  0.1909  0.0915  1 S 1.48
O  0.9931  0.8203  0.5891  1 S 1.48

***

Record 3
# Na4MgZnP2SO12

Crystalline Na4MgZnP2SO12 at its relaxed geometry (GGA-PBE, the Materials Project database).

a = 9.0177 Å, b = 9.0285 Å, c = 21.8491 Å
α = 89.83°, β = 89.79°, γ = 60.32°
Last column: nearest neighbours and their distance in Å.
Sites, in units of the cell vectors:
Na  0.0000  0.0000  0.0000  6 O 2.44-2.66
Na  0.9997  0.3608  0.7526  6 O 2.43-2.65
Na  0.0194  0.0409  0.3322  6 O 2.46-2.70
Na  0.0337  0.6743  0.8407  6 O 2.45-2.74
Na  0.2844  0.0501  0.8338  6 O 2.45-2.60
Na  0.2940  0.4150  0.3400  6 O 2.43-2.69
Na  0.3132  0.7144  0.9186  6 O 2.46-2.67
Na  0.3282  0.0637  0.1657  6 O 2.45-2.71
Na  0.3338  0.6946  0.4180  6 O 2.44-2.67
Na  0.3359  0.3323  0.6670  6 O 2.45-2.64
Na  0.3516  0.3722  0.9981  6 O 2.47-2.76
Na  0.3686  0.0090  0.5065  6 O 2.44-2.69
Na  0.6192  0.3811  0.5003  6 O 2.44-2.63
Na  0.6285  0.7494  0.0064  6 O 2.44-2.68
Na  0.6467  0.0480  0.5847  6 O 2.43-2.67
Na  0.6614  0.3972  0.8321  6 O 2.45-2.71
Na  0.6664  0.0283  0.0852  6 O 2.44-2.62
Na  0.6673  0.6658  0.3336  6 O 2.44-2.59
Na  0.6816  0.7070  0.6650  6 O 2.47-2.76
Na  0.7005  0.3410  0.1739  5 O 2.44-2.57
Na  0.9511  0.7169  0.1672  6 O 2.44-2.63
Na  0.9614  0.0822  0.6737  6 O 2.45-2.73
Na  0.9807  0.3802  0.2527  6 O 2.43-2.65
Na  0.9920  0.7320  0.4983  6 O 2.46-2.75
Mg  0.3205  0.7205  0.0699  5 O 1.98-2.13
Mg  0.3287  0.7090  0.7669  6 O 2.01-2.16
Mg  0.3406  0.7008  0.5703  5 O 1.98-2.14
Mg  0.6533  0.0546  0.7362  5 O 1.98-2.13
Mg  0.9950  0.3752  0.6010  6 O 2.00-2.19
Mg  0.9949  0.3758  0.1007  6 O 2.00-2.15
Zn  0.0166  0.3636  0.9065  3 O 1.96-2.09
Zn  0.3280  0.7096  0.2636  5 O 2.00-2.22
Zn  0.6612  0.0422  0.4311  5 O 2.00-2.21
Zn  0.6612  0.0426  0.9305  5 O 2.00-2.22
Zn  0.6820  0.0308  0.2392  4 O 1.96-2.19
Zn  0.9837  0.3961  0.4068  3 O 1.96-2.08
P  0.0292  0.0088  0.1685  4 O 1.54-1.57
P  0.2909  0.3757  0.5024  4 O 1.54-1.56
P  0.2949  0.0742  0.0028  4 O 1.54-1.56
P  0.3273  0.0050  0.6687  4 O 1.54-1.57
P  0.3626  0.3423  0.8352  4 O 1.54-1.57
P  0.6251  0.7071  0.1685  4 O 1.54-1.57
P  0.6272  0.4096  0.6689  4 O 1.54-1.56
P  0.6607  0.3391  0.3354  4 O 1.55-1.56
P  0.6938  0.6753  0.5028  4 O 1.54-1.57
P  0.9582  0.0404  0.8351  4 O 1.54-1.57
P  0.9626  0.7412  0.3358  4 O 1.55-1.56
P  0.9946  0.6717  0.0022  4 O 1.54-1.56
S  0.0316  0.7089  0.6685  4 O 1.48-1.49
S  0.3263  0.4119  0.1676  4 O 1.48-1.49
S  0.3627  0.0426  0.3349  4 O 1.49
S  0.6597  0.7452  0.8342  4 O 1.48-1.49
S  0.6966  0.3779  0.0026  4 O 1.48-1.49
S  0.9972  0.0770  0.5026  4 O 1.48-1.49
O  0.0117  0.1890  0.1627  1 P 1.56
O  0.0140  0.5533  0.6638  1 S 1.49
O  0.0195  0.5660  0.9431  1 P 1.56
O  0.0249  0.1530  0.4463  1 S 1.49
O  0.1117  0.7356  0.6134  1 S 1.48
O  0.1134  0.8936  0.1126  1 P 1.54
O  0.1373  0.6840  0.7235  1 S 1.48
O  0.1370  0.9301  0.2272  1 P 1.55
O  0.1403  0.8811  0.8304  1 P 1.56
O  0.1422  0.7263  0.3306  1 P 1.56
O  0.1493  0.9032  0.5088  1 S 1.49
O  0.1601  0.6859  0.0070  1 P 1.56
O  0.1677  0.1874  0.6642  1 P 1.56
O  0.1708  0.3940  0.1624  1 S 1.49
O  0.1798  0.3628  0.8383  1 P 1.57
O  0.1844  0.1481  0.9444  1 P 1.55
O  0.1855  0.4004  0.4433  1 P 1.55
O  0.1896  0.1956  0.3397  1 S 1.49
O  0.2045  0.3479  0.5588  1 P 1.54
O  0.2077  0.1885  0.0588  1 P 1.54
O  0.2981  0.9219  0.7259  1 P 1.54
O  0.2995  0.5141  0.2240  1 S 1.49
O  0.3051  0.5410  0.5072  1 P 1.56
O  0.3173  0.8921  0.0075  1 P 1.56
O  0.3449  0.5225  0.8294  1 P 1.56
O  0.3460  0.8863  0.3314  1 S 1.49
O  0.3512  0.4966  0.1134  1 S 1.48
O  0.3509  0.8961  0.6112  1 P 1.55
O  0.4435  0.0685  0.2795  1 S 1.49
O  0.4468  0.2271  0.7793  1 P 1.54
O  0.4670  0.0176  0.3907  1 S 1.49
O  0.4705  0.2635  0.8940  1 P 1.56
O  0.4728  0.2148  0.4988  1 P 1.56
O  0.4746  0.0600  0.9977  1 P 1.56
O  0.4797  0.2393  0.1718  1 S 1.49
O  0.4933  0.0189  0.6734  1 P 1.57
O  0.5002  0.5204  0.3316  1 P 1.56
O  0.5041  0.7276  0.8290  1 S 1.49
O  0.5116  0.6978  0.5076  1 P 1.56
O  0.5141  0.4909  0.6121  1 P 1.54
O  0.5142  0.7299  0.1119  1 P 1.54
O  0.5226  0.5300  0.0088  1 S 1.49
O  0.5436  0.5208  0.7262  1 P 1.55
O  0.5469  0.6750  0.2271  1 P 1.55
O  0.6302  0.2576  0.3932  1 P 1.55
O  0.6330  0.8474  0.8906  1 S 1.49
O  0.6374  0.8740  0.1724  1 P 1.57
O  0.6494  0.2269  0.6733  1 P 1.56
O  0.6801  0.2215  0.9995  1 S 1.49
O  0.6798  0.8549  0.4978  1 P 1.57
O  0.6844  0.2317  0.2771  1 P 1.55
O  0.6847  0.8299  0.7800  1 S 1.48
O  0.7679  0.5650  0.4445  1 P 1.55
O  0.7726  0.4057  0.9462  1 S 1.49
O  0.8041  0.3549  0.0568  1 S 1.48
O  0.8074  0.5480  0.1637  1 P 1.56
O  0.8079  0.3928  0.6631  1 P 1.56
O  0.8083  0.5884  0.5589  1 P 1.54
O  0.8131  0.5726  0.8384  1 S 1.49
O  0.8273  0.3513  0.3395  1 P 1.56
O  0.8338  0.8534  0.9986  1 P 1.56
O  0.8404  0.0607  0.4995  1 S 1.49
O  0.8464  0.0296  0.1716  1 P 1.57
O  0.8476  0.0627  0.7784  1 P 1.54
O  0.8501  0.8181  0.2784  1 P 1.55
O  0.8580  0.8614  0.6742  1 S 1.49
O  0.8797  0.0089  0.8938  1 P 1.55
O  0.8802  0.8522  0.3934  1 P 1.55
O  0.9669  0.5855  0.0586  1 P 1.54
O  0.9704  0.2074  0.8391  1 P 1.57
O  0.9740  0.1847  0.5569  1 S 1.48
O  0.9835  0.5591  0.3392  1 P 1.56

***

| no. | energy (eV per atom) | ΔE_f (eV/atom) |
| --- | --- | --- |
| 1 | -5.96 | -2.3978 |
| 2 | -5.85 | -2.2420 |
| 3 | -6.01 | -2.4737 |